1.
{
  "formula": "MgMn2O4",
  "functional": "PBE with a Hubbard U",
  "state": "relaxed",
  "ef_ev_per_atom": -2.256,
  "crystal_system": "triclinic",
  "de_polymorph_mev_per_atom": 85,
  "vol_a3_per_cell": 78.3,
  "magmom_total_mub_per_fu": 8.0,
  "lattice_angstrom": [[-0.241, 1.636, 2.383], [-4.527, -1.361, 2.254], [3.582, -3.260, 2.602]],
  "species": ["Mg", "Mn", "Mn", "O", "O", "O", "O"],
  "fractional_positions": [[0.748, 0.503, 0.750], [0.971, 0.057, 0.015], [0.525, 0.949, 0.485], [0.129, 0.742, 0.612], [0.590, 0.818, 0.073], [0.367, 0.264, 0.888], [0.905, 0.188, 0.426]]
}

2.
{
  "formula": "Ca2Nb2WO8",
  "functional": "PBE with a Hubbard U",
  "state": "relaxed",
  "ef_ev_per_atom": -2.810,
  "crystal_system": "triclinic",
  "vol_a3_per_cell": 341.3,
  "magmom_total_mub_per_fu": 4.0,
  "lattice_angstrom": [[5.627, 0.000, 0.000], [-0.043, 6.331, 0.000], [-0.416, -3.123, 9.579]],
  "species": ["Ca", "Ca", "Ca", "Ca", "Nb", "Nb", "Nb", "Nb", "W", "W", "O", "O", "O", "O", "O", "O", "O", "O", "O", "O", "O", "O", "O", "O", "O", "O"],
  "fractional_positions": [[0.234, 0.887, 0.416], [0.268, 0.474, 0.592], [0.765, 0.113, 0.592], [0.737, 0.519, 0.411], [0.236, 0.022, 0.774], [0.262, 0.257, 0.228], [0.760, 0.968, 0.229], [0.751, 0.741, 0.769], [0.248, 0.634, 0.001], [0.745, 0.366, 0.999], [0.897, 0.075, 0.854], [0.592, 0.204, 0.140], [0.091, 0.936, 0.137], [0.404, 0.798, 0.860], [0.399, 0.308, 0.888], [0.090, 0.422, 0.112], [0.592, 0.687, 0.113], [0.905, 0.577, 0.887], [0.512, 0.882, 0.644], [0.986, 0.235, 0.354], [0.664, 0.462, 0.623], [0.833, 0.840, 0.376], [0.336, 0.532, 0.375], [0.164, 0.156, 0.626], [0.010, 0.757, 0.635], [0.486, 0.116, 0.356]]
}

3.
{
  "formula": "FeOF",
  "functional": "PBE with a Hubbard U",
  "state": "relaxed",
  "ef_ev_per_atom": -1.970,
  "crystal_system": "monoclinic",
  "vol_a3_per_cell": 132.9,
  "magmom_total_mub_per_fu": 5.0,
  "lattice_angstrom": [[3.055, 0.000, 0.000], [0.000, 4.667, 0.000], [0.000, 0.095, 9.326]],
  "species": ["Fe", "Fe", "Fe", "Fe", "O", "O", "O", "O", "F", "F", "F", "F"],
  "fractional_positions": [[0.000, 0.981, 0.016], [0.000, 0.985, 0.503], [0.500, 0.487, 0.229], [0.500, 0.566, 0.755], [0.500, 0.816, 0.906], [0.000, 0.681, 0.163], [0.000, 0.706, 0.639], [0.500, 0.199, 0.100], [0.500, 0.799, 0.404], [0.000, 0.281, 0.358], [0.000, 0.315, 0.832], [0.500, 0.184, 0.593]]
}

4.
{
  "formula": "LiVSiO4",
  "functional": "PBE with a Hubbard U",
  "state": "relaxed",
  "ef_ev_per_atom": -2.775,
  "crystal_system": "monoclinic",
  "de_polymorph_mev_per_atom": 64,
  "vol_a3_per_cell": 623.6,
  "magmom_total_mub_per_fu": 2.0,
  "lattice_angstrom": [[-0.037, -9.207, 5.388], [5.188, 1.056, 1.841], [-3.857, 4.905, 8.356]],
  "species": ["Li", "Li", "Li", "Li", "Li", "Li", "Li", "Li", "V", "V", "V", "V", "V", "V", "V", "V", "Si", "Si", "Si", "Si", "Si", "Si", "Si", "Si", "O", "O", "O", "O", "O", "O", "O", "O", "O", "O", "O", "O", "O", "O", "O", "O", "O", "O", "O", "O", "O", "O", "O", "O", "O", "O", "O", "O", "O", "O", "O", "O"],
  "fractional_positions": [[0.158, 0.893, 0.826], [0.342, 0.893, 0.326], [0.619, 0.627, 0.588], [0.881, 0.627, 0.088], [0.119, 0.373, 0.912], [0.381, 0.373, 0.412], [0.658, 0.107, 0.674], [0.842, 0.107, 0.174], [0.872, 0.845, 0.517], [0.628, 0.845, 0.017], [0.408, 0.662, 0.770], [0.092, 0.662, 0.270], [0.908, 0.338, 0.730], [0.592, 0.338, 0.230], [0.372, 0.155, 0.983], [0.128, 0.155, 0.483], [0.900, 0.883, 0.837], [0.600, 0.883, 0.337], [0.145, 0.610, 0.580], [0.355, 0.610, 0.080], [0.645, 0.390, 0.920], [0.855, 0.390, 0.420], [0.400, 0.117, 0.663], [0.100, 0.117, 0.163], [0.804, 0.884, 0.959], [0.500, 0.888, 0.655], [0.696, 0.884, 0.459], [0.000, 0.888, 0.155], [0.830, 0.952, 0.696], [0.062, 0.854, 0.571], [0.670, 0.952, 0.196], [0.438, 0.854, 0.071], [0.247, 0.647, 0.691], [0.980, 0.632, 0.832], [0.253, 0.647, 0.191], [0.520, 0.632, 0.332], [0.561, 0.629, 0.882], [0.306, 0.525, 0.935], [0.939, 0.629, 0.382], [0.194, 0.525, 0.435], [0.806, 0.475, 0.565], [0.061, 0.371, 0.618], [0.694, 0.475, 0.065], [0.439, 0.371, 0.118], [0.480, 0.368, 0.668], [0.747, 0.353, 0.809], [0.020, 0.368, 0.168], [0.753, 0.353, 0.309], [0.562, 0.146, 0.929], [0.330, 0.048, 0.804], [0.938, 0.146, 0.429], [0.170, 0.048, 0.304], [0.000, 0.112, 0.845], [0.304, 0.116, 0.541], [0.500, 0.112, 0.345], [0.196, 0.116, 0.041]]
}

5.
{
  "formula": "FeTe2ClO5",
  "functional": "PBE with a Hubbard U",
  "state": "relaxed",
  "ef_ev_per_atom": -1.432,
  "crystal_system": "monoclinic",
  "vol_a3_per_cell": 1224.7,
  "magmom_total_mub_per_fu": 5.0,
  "lattice_angstrom": [[-4.850, -4.400, -1.413], [4.925, -8.373, 9.164], [-6.311, 2.900, 12.634]],
  "species": ["Fe", "Fe", "Fe", "Fe", "Fe", "Fe", "Fe", "Fe", "Te", "Te", "Te", "Te", "Te", "Te", "Te", "Te", "Te", "Te", "Te", "Te", "Te", "Te", "Te", "Te", "Cl", "Cl", "Cl", "Cl", "Cl", "Cl", "Cl", "Cl", "O", "O", "O", "O", "O", "O", "O", "O", "O", "O", "O", "O", "O", "O", "O", "O", "O", "O", "O", "O", "O", "O", "O", "O", "O", "O", "O", "O", "O", "O", "O", "O", "O", "O", "O", "O", "O", "O", "O", "O"],
  "fractional_positions": [[0.996, 0.119, 0.021], [0.496, 0.881, 0.479], [0.004, 0.881, 0.979], [0.790, 0.935, 0.645], [0.710, 0.935, 0.145], [0.290, 0.065, 0.855], [0.504, 0.119, 0.521], [0.210, 0.065, 0.355], [0.807, 0.111, 0.785], [0.023, 0.371, 0.858], [0.693, 0.111, 0.285], [0.015, 0.800, 0.521], [0.977, 0.629, 0.142], [0.307, 0.889, 0.715], [0.796, 0.714, 0.861], [0.204, 0.286, 0.139], [0.985, 0.200, 0.479], [0.515, 0.200, 0.979], [0.704, 0.714, 0.361], [0.296, 0.286, 0.639], [0.523, 0.629, 0.642], [0.193, 0.889, 0.215], [0.477, 0.371, 0.358], [0.485, 0.800, 0.021], [0.128, 0.611, 0.782], [0.872, 0.389, 0.218], [0.372, 0.611, 0.282], [0.628, 0.389, 0.718], [0.216, 0.563, 0.050], [0.716, 0.437, 0.450], [0.284, 0.563, 0.550], [0.784, 0.437, 0.950], [0.229, 0.215, 0.773], [0.012, 0.189, 0.121], [0.248, 0.013, 0.245], [0.252, 0.013, 0.745], [0.283, 0.114, 0.980], [0.488, 0.189, 0.621], [0.554, 0.783, 0.894], [0.752, 0.987, 0.755], [0.074, 0.899, 0.637], [0.986, 0.038, 0.897], [0.988, 0.811, 0.879], [0.512, 0.811, 0.379], [0.271, 0.215, 0.273], [0.426, 0.899, 0.137], [0.228, 0.343, 0.951], [0.926, 0.101, 0.363], [0.574, 0.101, 0.863], [0.901, 0.234, 0.906], [0.728, 0.657, 0.549], [0.301, 0.909, 0.948], [0.217, 0.114, 0.480], [0.486, 0.962, 0.603], [0.717, 0.886, 0.020], [0.699, 0.091, 0.052], [0.446, 0.217, 0.106], [0.748, 0.987, 0.255], [0.199, 0.909, 0.448], [0.514, 0.038, 0.397], [0.054, 0.217, 0.606], [0.599, 0.234, 0.406], [0.771, 0.785, 0.227], [0.783, 0.886, 0.520], [0.729, 0.785, 0.727], [0.801, 0.091, 0.552], [0.099, 0.766, 0.094], [0.272, 0.343, 0.451], [0.946, 0.783, 0.394], [0.772, 0.657, 0.049], [0.014, 0.962, 0.103], [0.401, 0.766, 0.594]]
}

6.
{
  "formula": "BaCaNiBiO6",
  "functional": "PBE with a Hubbard U",
  "state": "relaxed",
  "ef_ev_per_atom": -1.890,
  "crystal_system": "cubic",
  "vol_a3_per_cell": 138.8,
  "magmom_total_mub_per_fu": 1.0,
  "lattice_angstrom": [[-5.158, 2.603, -0.632], [-2.889, -0.457, -5.022], [-4.850, -3.190, -0.283]],
  "species": ["Ba", "Ca", "Ni", "Bi", "O", "O", "O", "O", "O", "O"],
  "fractional_positions": [[0.750, 0.750, 0.750], [0.250, 0.250, 0.250], [0.500, 0.500, 0.500], [0.000, 0.000, 0.000], [0.744, 0.256, 0.256], [0.256, 0.744, 0.744], [0.744, 0.256, 0.744], [0.256, 0.744, 0.256], [0.744, 0.744, 0.256], [0.256, 0.256, 0.744]]
}

7.
{
  "formula": "LiNiP4O12",
  "functional": "PBE with a Hubbard U",
  "state": "relaxed",
  "ef_ev_per_atom": -2.327,
  "crystal_system": "monoclinic",
  "de_polymorph_mev_per_atom": 63,
  "vol_a3_per_cell": 476.6,
  "magmom_total_mub_per_fu": 3.0,
  "lattice_angstrom": [[2.426, -8.515, -0.014], [6.287, -4.186, -4.621], [8.271, -2.871, 4.233]],
  "species": ["Li", "Li", "Ni", "Ni", "P", "P", "P", "P", "P", "P", "P", "P", "O", "O", "O", "O", "O", "O", "O", "O", "O", "O", "O", "O", "O", "O", "O", "O", "O", "O", "O", "O", "O", "O", "O", "O"],
  "fractional_positions": [[0.831, 0.169, 0.250], [0.169, 0.831, 0.750], [0.290, 0.710, 0.250], [0.710, 0.290, 0.750], [0.688, 0.029, 0.106], [0.281, 0.429, 0.162], [0.571, 0.719, 0.338], [0.971, 0.312, 0.394], [0.029, 0.688, 0.606], [0.429, 0.281, 0.662], [0.719, 0.571, 0.838], [0.312, 0.971, 0.894], [0.158, 0.596, 0.042], [0.458, 0.227, 0.098], [0.767, 0.009, 0.220], [0.658, 0.845, 0.159], [0.191, 0.950, 0.080], [0.155, 0.342, 0.341], [0.991, 0.233, 0.280], [0.529, 0.611, 0.290], [0.389, 0.471, 0.210], [0.773, 0.542, 0.402], [0.404, 0.842, 0.458], [0.050, 0.809, 0.420], [0.950, 0.191, 0.580], [0.596, 0.158, 0.542], [0.227, 0.458, 0.598], [0.611, 0.529, 0.790], [0.471, 0.389, 0.710], [0.009, 0.767, 0.720], [0.845, 0.658, 0.659], [0.809, 0.050, 0.920], [0.342, 0.155, 0.841], [0.233, 0.991, 0.780], [0.542, 0.773, 0.902], [0.842, 0.404, 0.958]]
}

8.
{
  "formula": "YWO3",
  "functional": "PBE with a Hubbard U",
  "state": "relaxed",
  "ef_ev_per_atom": -2.554,
  "crystal_system": "hexagonal",
  "vol_a3_per_cell": 143.1,
  "magmom_total_mub_per_fu": 2.8,
  "lattice_angstrom": [[-3.166, -1.478, -0.901], [2.953, -2.062, 0.232], [-2.476, -2.166, 12.256]],
  "species": ["Y", "Y", "W", "W", "O", "O", "O", "O", "O", "O"],
  "fractional_positions": [[0.000, 0.000, 0.500], [0.000, 0.000, 0.000], [0.667, 0.333, 0.750], [0.333, 0.667, 0.250], [0.333, 0.667, 0.419], [0.667, 0.333, 0.919], [0.667, 0.333, 0.581], [0.333, 0.667, 0.081], [0.000, 0.000, 0.250], [0.000, 0.000, 0.750]]
}